P.
DFT (PBE) results for crystalline Ca2AlAgO5 at its relaxed geometry.

a b c (Å): 5.4165 5.6702 8.6693
angles (deg): 109.06 105.85 90.02
With the nearest neighbours (Å) after each atom.
Atoms (fractional coordinates):
Ca 0.0000 0.0000 0.0000  4 O 2.29-2.45
Ca 0.2153 0.2557 0.5142  4 O 2.29-2.46
Ca 0.5000 0.4541 0.0003  4 O 2.29-2.45
Ca 0.7156 0.7118 0.5137  4 O 2.29-2.46
Al 0.1079 0.6695 0.2554  4 O 1.76-1.84
Al 0.6078 0.0397 0.2553  4 O 1.76-1.84
Ag 0.3468 0.8531 0.7552  4 O 2.04-2.07
Ag 0.8465 0.3551 0.7553  4 O 2.04-2.07
O 0.0298 0.0412 0.6855  2 Ag 2.04-2.07
O 0.1138 0.6035 0.4405  1 Al 1.76
O 0.1737 0.5925 0.8215  2 Ag 2.05-2.06
O 0.4312 0.7625 0.2548  2 Al 1.83-1.84
O 0.4456 0.1078 0.0718  1 Al 1.76
O 0.5300 0.0963 0.6846  2 Ag 2.04-2.07
O 0.6140 0.2907 0.4406  1 Al 1.76
O 0.6736 0.6817 0.8225  2 Ag 2.06
O 0.9312 0.9461 0.2549  2 Al 1.83-1.84
O 0.9458 0.4178 0.0719  1 Al 1.76

Properties
Total moment ... 0.0 μB per formula unit
Crystal system ... triclinic
Space-group type ... P1

Q.
DFT (PBE) results for crystalline Ca2AlAgO5 at its relaxed geometry.

a b c (Å): 8.4651 8.4651 8.4651
angles (deg): 56.48 139.60 142.25
With the nearest neighbours (Å) after each atom.
Atoms (fractional coordinates):
Ca 0.0320 0.1146 0.1466  5 O 2.32-2.50
Ca 0.0320 0.3854 0.4173  5 O 2.32-2.50
Ca 0.9680 0.6146 0.5827  5 O 2.32-2.50
Ca 0.9680 0.8854 0.8534  5 O 2.32-2.50
Al 0.4354 0.7616 0.1737  4 O 1.77-1.84
Al 0.5879 0.2616 0.8262  4 O 1.77-1.84
Ag 0.4846 0.4846 0.0000  4 O 2.04-2.06
Ag 0.4846 0.9846 0.5000  4 O 2.04-2.06
O 0.3376 0.0842 0.5654  1 Al 1.77
O 0.3376 0.2722 0.7534  1 Al 1.77
O 0.5014 0.2123 0.2293  2 Ag 2.04-2.06
O 0.5014 0.7721 0.7891  2 Ag 2.04-2.06
O 0.5189 0.5842 0.2466  1 Al 1.77
O 0.5189 0.7722 0.4346  1 Al 1.77
O 0.6832 0.0878 0.0953  2 Al 1.84
O 0.9830 0.2721 0.7707  2 Ag 2.04-2.06
O 0.9830 0.7123 0.2109  2 Ag 2.04-2.06
O 0.9925 0.5878 0.9047  2 Al 1.84

Properties
Total moment ... 0.0 μB per formula unit
Crystal system ... orthorhombic
Space-group type ... Ima2

Stability check: which of them is most stable? P.